4
Lattice="2.406 -3.517 -1.232 -1.886 -4.009 -0.226 -0.707 -1.899 -3.946" Properties=species:S:1:pos:R:3 comment="Re2RuBr, optimized geometry, DFT PBE" formation_energy_ev_per_atom=1.04 pbc="T T T"
Re -0.047 -2.356 -1.351
Re -0.140 -7.068 -4.053
Ru -0.094 -4.712 -2.702
Br 0.000 0.000 0.000